No. 1
## K4MgV6O16 (PBE with a Hubbard U)

Data for a relaxed K4MgV6O16 crystal.

* final energy: -6.813 eV/atom
* energy of formation from the pure elements: -2.424 eV/atom
* magnetization: 3.988 μB/cell
* space group: P1 (1)

Unit cell a=5.396 b=9.117 c=9.151 alpha=93.52 beta=90.80 gamma=91.25
Element x y z (fractional)
K (0.000, 0.000, 0.000)
K (0.009, 0.054, 0.560)
K (0.958, 0.660, 0.329)
K (0.976, 0.456, 0.854)
Mg (0.012, 0.263, 0.302)
V (0.478, 0.691, 0.008)
V (0.498, 0.792, 0.636)
V (0.529, 0.412, 0.499)
V (0.533, 0.172, 0.781)
V (0.533, 0.329, 0.132)
V (0.541, 0.959, 0.292)
O (0.169, 0.696, 0.023)
O (0.192, 0.794, 0.616)
O (0.202, 0.299, 0.133)
O (0.225, 0.185, 0.791)
O (0.225, 0.346, 0.467)
O (0.239, 0.004, 0.293)
O (0.571, 0.722, 0.831)
O (0.590, 0.522, 0.052)
O (0.597, 0.599, 0.558)
O (0.610, 0.989, 0.730)
O (0.615, 0.832, 0.138)
O (0.625, 0.873, 0.451)
O (0.655, 0.289, 0.646)
O (0.665, 0.223, 0.955)
O (0.707, 0.393, 0.322)
O (0.729, 0.111, 0.267)

No. 2
## K4MgV6O16 (PBE with a Hubbard U)

Data for a relaxed K4MgV6O16 crystal.

* final energy: -6.808 eV/atom
* energy of formation from the pure elements: -2.418 eV/atom
* magnetization: 3.960 μB/cell
* space group: P1 (1)

Unit cell a=5.500 b=8.997 c=9.122 alpha=86.00 beta=88.72 gamma=84.42
Element x y z (fractional)
K (0.000, 0.000, 0.000)
K (0.011, 0.536, 0.228)
K (0.044, 0.696, 0.668)
K (0.948, 0.063, 0.425)
Mg (0.991, 0.294, 0.676)
V (0.431, 0.180, 0.202)
V (0.442, 0.322, 0.846)
V (0.462, 0.968, 0.703)
V (0.463, 0.423, 0.488)
V (0.480, 0.801, 0.346)
V (0.522, 0.685, 0.977)
O (0.271, 0.419, 0.681)
O (0.292, 0.140, 0.742)
O (0.303, 0.240, 0.027)
O (0.331, 0.299, 0.344)
O (0.342, 0.999, 0.250)
O (0.362, 0.629, 0.438)
O (0.378, 0.832, 0.847)
O (0.379, 0.906, 0.539)
O (0.417, 0.719, 0.153)
O (0.433, 0.515, 0.930)
O (0.734, 0.171, 0.187)
O (0.749, 0.273, 0.837)
O (0.764, 0.980, 0.702)
O (0.785, 0.799, 0.349)
O (0.789, 0.365, 0.511)
O (0.824, 0.688, 0.965)

No. 3
## K4MgW3O12 (PBE with a Hubbard U)

Data for a relaxed K4MgW3O12 crystal.

* final energy: -6.487 eV/atom
* energy of formation from the pure elements: -2.351 eV/atom
* magnetization: 0.006 μB/cell
* space group: P-1 (2)

Unit cell a=7.943 b=10.143 c=10.261 alpha=93.13 beta=106.59 gamma=106.07
Element x y z (fractional)
K (0.000, 0.000, 0.000)
K (0.148, 0.567, 0.887)
K (0.244, 0.522, 0.474)
K (0.279, 0.239, 0.776)
K (0.500, 0.000, 0.000)
K (0.721, 0.761, 0.224)
K (0.756, 0.478, 0.526)
K (0.852, 0.433, 0.113)
Mg (0.338, 0.122, 0.448)
Mg (0.662, 0.878, 0.552)
W (0.118, 0.851, 0.611)
W (0.264, 0.813, 0.257)
W (0.378, 0.356, 0.187)
W (0.622, 0.644, 0.813)
W (0.736, 0.187, 0.743)
W (0.882, 0.149, 0.389)
O (0.054, 0.693, 0.268)
O (0.110, 0.674, 0.631)
O (0.113, 0.150, 0.491)
O (0.180, 0.949, 0.779)
O (0.195, 0.434, 0.135)
O (0.257, 0.992, 0.271)
O (0.277, 0.782, 0.087)
O (0.297, 0.926, 0.532)
O (0.342, 0.215, 0.054)
O (0.387, 0.298, 0.355)
O (0.405, 0.511, 0.790)
O (0.467, 0.780, 0.374)
O (0.533, 0.220, 0.626)
O (0.595, 0.489, 0.210)
O (0.613, 0.702, 0.645)
O (0.658, 0.785, 0.946)
O (0.703, 0.074, 0.468)
O (0.723, 0.218, 0.913)
O (0.743, 0.008, 0.729)
O (0.805, 0.566, 0.865)
O (0.820, 0.051, 0.221)
O (0.887, 0.850, 0.509)
O (0.890, 0.326, 0.369)
O (0.946, 0.307, 0.732)

No. 4
## K4MgW2O8 (PBE with a Hubbard U)

Data for a relaxed K4MgW2O8 crystal.

* final energy: -5.812 eV/atom
* energy of formation from the pure elements: -2.001 eV/atom
* magnetization: 0.000 μB/cell
* space group: C2 (5)

Unit cell a=8.639 b=8.639 c=7.206 alpha=107.44 beta=107.44 gamma=46.42
Element x y z (fractional)
K (0.061, 0.061, 0.286)
K (0.214, 0.336, 0.191)
K (0.664, 0.786, 0.809)
K (0.939, 0.939, 0.714)
Mg (0.575, 0.425, 0.500)
W (0.303, 0.372, 0.727)
W (0.628, 0.697, 0.273)
O (0.102, 0.568, 0.895)
O (0.227, 0.231, 0.547)
O (0.320, 0.515, 0.597)
O (0.432, 0.898, 0.105)
O (0.485, 0.680, 0.403)
O (0.559, 0.174, 0.865)
O (0.769, 0.773, 0.453)
O (0.826, 0.441, 0.135)

No. 5
## K10Zr3MnMo12O48 (PBE with a Hubbard U)

Data for a relaxed K10Zr3MnMo12O48 crystal.

* final energy: -6.934 eV/atom
* energy of formation from the pure elements: -2.333 eV/atom
* magnetization: 4.997 μB/cell
* space group: R3 (146)

Unit cell a=14.285 b=14.285 c=14.285 alpha=44.51 beta=44.51 gamma=44.51
Element x y z (fractional)
K (0.000, 0.000, 0.000)
K (0.105, 0.472, 0.720)
K (0.200, 0.200, 0.200)
K (0.205, 0.986, 0.605)
K (0.472, 0.720, 0.105)
K (0.493, 0.493, 0.493)
K (0.605, 0.205, 0.986)
K (0.706, 0.706, 0.706)
K (0.720, 0.105, 0.472)
K (0.986, 0.605, 0.205)
Zr (0.351, 0.351, 0.351)
Zr (0.599, 0.599, 0.599)
Zr (0.847, 0.847, 0.847)
Mn (0.099, 0.099, 0.099)
Mo (0.084, 0.734, 0.326)
Mo (0.114, 0.873, 0.463)
Mo (0.229, 0.588, 0.826)
Mo (0.326, 0.084, 0.734)
Mo (0.372, 0.610, 0.968)
Mo (0.463, 0.114, 0.873)
Mo (0.588, 0.826, 0.229)
Mo (0.610, 0.968, 0.372)
Mo (0.734, 0.326, 0.084)
Mo (0.826, 0.229, 0.588)
Mo (0.873, 0.463, 0.114)
Mo (0.968, 0.372, 0.610)
O (0.023, 0.317, 0.054)
O (0.052, 0.747, 0.848)
O (0.054, 0.023, 0.317)
O (0.144, 0.881, 0.175)
O (0.146, 0.350, 0.452)
O (0.175, 0.144, 0.881)
O (0.200, 0.921, 0.461)
O (0.205, 0.734, 0.949)
O (0.232, 0.503, 0.778)
O (0.239, 0.706, 0.442)
O (0.246, 0.553, 0.346)
O (0.247, 0.465, 0.994)
O (0.278, 0.998, 0.735)
O (0.317, 0.054, 0.023)
O (0.346, 0.246, 0.553)
O (0.350, 0.452, 0.146)
O (0.384, 0.646, 0.673)
O (0.421, 0.696, 0.964)
O (0.442, 0.239, 0.706)
O (0.452, 0.146, 0.350)
O (0.461, 0.200, 0.921)
O (0.465, 0.994, 0.247)
O (0.493, 0.961, 0.754)
O (0.503, 0.778, 0.232)
O (0.525, 0.551, 0.814)
O (0.551, 0.814, 0.525)
O (0.553, 0.346, 0.246)
O (0.645, 0.953, 0.851)
O (0.646, 0.673, 0.384)
O (0.673, 0.384, 0.646)
O (0.696, 0.964, 0.421)
O (0.706, 0.442, 0.239)
O (0.734, 0.949, 0.205)
O (0.735, 0.278, 0.998)
O (0.747, 0.848, 0.052)
O (0.754, 0.493, 0.961)
O (0.778, 0.232, 0.503)
O (0.814, 0.525, 0.551)
O (0.848, 0.052, 0.747)
O (0.851, 0.645, 0.953)
O (0.881, 0.175, 0.144)
O (0.921, 0.461, 0.200)
O (0.949, 0.205, 0.734)
O (0.953, 0.851, 0.645)
O (0.961, 0.754, 0.493)
O (0.964, 0.421, 0.696)
O (0.994, 0.247, 0.465)
O (0.998, 0.735, 0.278)

No. 6
## KNaMnSi4O10 (PBE with a Hubbard U)

Data for a relaxed KNaMnSi4O10 crystal.

* final energy: -7.335 eV/atom
* energy of formation from the pure elements: -2.968 eV/atom
* magnetization: 10.000 μB/cell
* space group: P-1 (2)

Unit cell a=7.067 b=8.319 c=10.111 alpha=105.75 beta=99.61 gamma=114.37
Element x y z (fractional)
K (0.158, 0.299, 0.490)
K (0.842, 0.701, 0.510)
Na (0.164, 0.638, 0.911)
Na (0.836, 0.362, 0.089)
Mn (0.342, 0.394, 0.093)
Mn (0.658, 0.606, 0.907)
Si (0.063, 0.864, 0.230)
Si (0.293, 0.677, 0.368)
Si (0.371, 0.138, 0.769)
Si (0.464, 0.800, 0.711)
Si (0.536, 0.200, 0.289)
Si (0.629, 0.862, 0.231)
Si (0.707, 0.323, 0.632)
Si (0.937, 0.136, 0.770)
O (0.032, 0.274, 0.936)
O (0.110, 0.076, 0.707)
O (0.123, 0.762, 0.338)
O (0.197, 0.462, 0.258)
O (0.277, 0.073, 0.272)
O (0.323, 0.687, 0.536)
O (0.375, 0.948, 0.784)
O (0.422, 0.643, 0.781)
O (0.465, 0.175, 0.634)
O (0.498, 0.676, 0.083)
O (0.502, 0.324, 0.917)
O (0.535, 0.825, 0.366)
O (0.578, 0.357, 0.219)
O (0.625, 0.052, 0.216)
O (0.677, 0.313, 0.464)
O (0.723, 0.927, 0.728)
O (0.803, 0.538, 0.742)
O (0.877, 0.238, 0.662)
O (0.890, 0.924, 0.293)
O (0.968, 0.726, 0.064)

No. 7
## KPrMnNbO6 (PBE with a Hubbard U)

Data for a relaxed KPrMnNbO6 crystal.

* final energy: -7.655 eV/atom
* energy of formation from the pure elements: -2.750 eV/atom
* magnetization: 4.000 μB/cell
* space group: F-43m (216)

Unit cell a=5.666 b=5.666 c=5.666 alpha=60.00 beta=60.00 gamma=60.00
Element x y z (fractional)
K (0.000, 0.000, 0.000)
Pr (0.500, 0.500, 0.500)
Mn (0.750, 0.750, 0.750)
Nb (0.250, 0.250, 0.250)
O (0.001, 0.001, 0.499)
O (0.001, 0.499, 0.001)
O (0.001, 0.499, 0.499)
O (0.499, 0.001, 0.001)
O (0.499, 0.001, 0.499)
O (0.499, 0.499, 0.001)

No. 8
## KNdMnWO6 (PBE with a Hubbard U)

Data for a relaxed KNdMnWO6 crystal.

* final energy: -7.399 eV/atom
* energy of formation from the pure elements: -2.653 eV/atom
* magnetization: 10.000 μB/cell
* space group: P2_1 (4)

Unit cell a=5.662 b=5.758 c=8.270 alpha=90.00 beta=90.54 gamma=90.00
Element x y z (fractional)
K (0.245, 0.000, 0.002)
K (0.755, 0.500, 0.998)
Nd (0.255, 0.069, 0.501)
Nd (0.745, 0.569, 0.499)
Mn (0.252, 0.525, 0.754)
Mn (0.748, 0.025, 0.246)
W (0.239, 0.516, 0.251)
W (0.761, 0.016, 0.749)
O (0.036, 0.207, 0.754)
O (0.060, 0.230, 0.242)
O (0.164, 0.487, 0.495)
O (0.292, 0.524, 0.028)
O (0.448, 0.780, 0.312)
O (0.484, 0.813, 0.687)
O (0.516, 0.313, 0.313)
O (0.552, 0.280, 0.688)
O (0.708, 0.024, 0.972)
O (0.836, 0.987, 0.505)
O (0.940, 0.730, 0.758)
O (0.964, 0.707, 0.246)

No. 9
## KMn2O4 (PBE with a Hubbard U)

Data for a relaxed KMn2O4 crystal.

* final energy: -6.702 eV/atom
* energy of formation from the pure elements: -1.967 eV/atom
* space group: P2_1/m (11)

Unit cell a=3.051 b=12.691 c=5.135 alpha=90.00 beta=93.35 gamma=90.00
Element x y z (fractional)
K (0.027, 0.250, 0.169)
K (0.973, 0.750, 0.831)
Mn (0.000, 0.000, 0.500)
Mn (0.000, 0.500, 0.500)
Mn (0.500, 0.000, 0.000)
Mn (0.500, 0.500, 0.000)
O (0.013, 0.577, 0.159)
O (0.013, 0.923, 0.159)
O (0.454, 0.583, 0.684)
O (0.454, 0.917, 0.684)
O (0.546, 0.083, 0.316)
O (0.546, 0.417, 0.316)
O (0.987, 0.077, 0.841)
O (0.987, 0.423, 0.841)

No. 10
## K3Mn2O8 (PBE with a Hubbard U)

Data for a relaxed K3Mn2O8 crystal.

* final energy: -5.635 eV/atom
* energy of formation from the pure elements: -1.604 eV/atom
* magnetization: 1.997 μB/cell
* space group: P2_1/m (11)

Unit cell a=7.970 b=5.875 c=9.937 alpha=90.00 beta=111.50 gamma=90.00
Element x y z (fractional)
K (0.148, 0.250, 0.042)
K (0.204, 0.750, 0.713)
K (0.332, 0.250, 0.454)
K (0.668, 0.750, 0.546)
K (0.796, 0.250, 0.287)
K (0.852, 0.750, 0.958)
Mn (0.075, 0.750, 0.335)
Mn (0.447, 0.750, 0.150)
Mn (0.553, 0.250, 0.850)
Mn (0.925, 0.250, 0.665)
O (0.050, 0.520, 0.232)
O (0.050, 0.980, 0.232)
O (0.074, 0.250, 0.585)
O (0.247, 0.750, 0.024)
O (0.280, 0.750, 0.465)
O (0.403, 0.250, 0.923)
O (0.472, 0.524, 0.251)
O (0.472, 0.976, 0.251)
O (0.528, 0.024, 0.749)
O (0.528, 0.476, 0.749)
O (0.597, 0.750, 0.077)
O (0.720, 0.250, 0.535)
O (0.753, 0.250, 0.976)
O (0.926, 0.750, 0.415)
O (0.950, 0.020, 0.768)
O (0.950, 0.480, 0.768)

No. 11
## K11Mn4O16 (PBE with a Hubbard U)

Data for a relaxed K11Mn4O16 crystal.

* final energy: -5.347 eV/atom
* energy of formation from the pure elements: -1.787 eV/atom
* space group: I-42m (121)

Unit cell a=10.470 b=10.470 c=10.470 alpha=135.17 beta=135.17 gamma=65.26
Element x y z (fractional)
K (0.000, 0.000, 0.000)
K (0.000, 0.500, 0.500)
K (0.211, 0.211, 0.000)
K (0.219, 0.219, 0.648)
K (0.250, 0.750, 0.500)
K (0.429, 0.781, 0.000)
K (0.500, 0.000, 0.500)
K (0.571, 0.571, 0.352)
K (0.750, 0.250, 0.500)
K (0.781, 0.429, 0.000)
K (0.789, 0.789, 0.000)
Mn (0.114, 0.639, 0.000)
Mn (0.361, 0.361, 0.474)
Mn (0.639, 0.114, 0.000)
Mn (0.886, 0.886, 0.526)
O (0.086, 0.839, 0.697)
O (0.087, 0.489, 0.000)
O (0.142, 0.389, 0.303)
O (0.161, 0.858, 0.247)
O (0.286, 0.603, 0.000)
O (0.389, 0.142, 0.303)
O (0.397, 0.397, 0.683)
O (0.489, 0.087, 0.000)
O (0.511, 0.511, 0.598)
O (0.603, 0.286, 0.000)
O (0.611, 0.914, 0.753)
O (0.714, 0.714, 0.317)
O (0.839, 0.086, 0.697)
O (0.858, 0.161, 0.247)
O (0.913, 0.913, 0.402)
O (0.914, 0.611, 0.753)

No. 12
## K3Mn2O8 (PBE with a Hubbard U)

Data for a relaxed K3Mn2O8 crystal.

* final energy: -5.631 eV/atom
* energy of formation from the pure elements: -1.600 eV/atom
* space group: R-3m (166)

Unit cell a=7.979 b=7.979 c=7.979 alpha=43.30 beta=43.30 gamma=43.30
Element x y z (fractional)
K (0.000, 0.000, 0.000)
K (0.205, 0.205, 0.205)
K (0.795, 0.795, 0.795)
Mn (0.407, 0.407, 0.407)
Mn (0.593, 0.593, 0.593)
O (0.263, 0.720, 0.720)
O (0.280, 0.280, 0.737)
O (0.280, 0.737, 0.280)
O (0.332, 0.332, 0.332)
O (0.668, 0.668, 0.668)
O (0.720, 0.263, 0.720)
O (0.720, 0.720, 0.263)
O (0.737, 0.280, 0.280)

Q: Which of these has the lowest final energy?
A: KPrMnNbO6

Q: energy of formation from the pure elements of number 11 (K11Mn4O16)?
A: -1.787 eV/atom

What did the fifth record say?
## K10Zr3MnMo12O48 (PBE with a Hubbard U)

Data for a relaxed K10Zr3MnMo12O48 crystal.

* final energy: -6.934 eV/atom
* energy of formation from the pure elements: -2.333 eV/atom
* magnetization: 4.997 μB/cell
* space group: R3 (146)

Unit cell a=14.285 b=14.285 c=14.285 alpha=44.51 beta=44.51 gamma=44.51
Element x y z (fractional)
K (0.000, 0.000, 0.000)
K (0.105, 0.472, 0.720)
K (0.200, 0.200, 0.200)
K (0.205, 0.986, 0.605)
K (0.472, 0.720, 0.105)
K (0.493, 0.493, 0.493)
K (0.605, 0.205, 0.986)
K (0.706, 0.706, 0.706)
K (0.720, 0.105, 0.472)
K (0.986, 0.605, 0.205)
Zr (0.351, 0.351, 0.351)
Zr (0.599, 0.599, 0.599)
Zr (0.847, 0.847, 0.847)
Mn (0.099, 0.099, 0.099)
Mo (0.084, 0.734, 0.326)
Mo (0.114, 0.873, 0.463)
Mo (0.229, 0.588, 0.826)
Mo (0.326, 0.084, 0.734)
Mo (0.372, 0.610, 0.968)
Mo (0.463, 0.114, 0.873)
Mo (0.588, 0.826, 0.229)
Mo (0.610, 0.968, 0.372)
Mo (0.734, 0.326, 0.084)
Mo (0.826, 0.229, 0.588)
Mo (0.873, 0.463, 0.114)
Mo (0.968, 0.372, 0.610)
O (0.023, 0.317, 0.054)
O (0.052, 0.747, 0.848)
O (0.054, 0.023, 0.317)
O (0.144, 0.881, 0.175)
O (0.146, 0.350, 0.452)
O (0.175, 0.144, 0.881)
O (0.200, 0.921, 0.461)
O (0.205, 0.734, 0.949)
O (0.232, 0.503, 0.778)
O (0.239, 0.706, 0.442)
O (0.246, 0.553, 0.346)
O (0.247, 0.465, 0.994)
O (0.278, 0.998, 0.735)
O (0.317, 0.054, 0.023)
O (0.346, 0.246, 0.553)
O (0.350, 0.452, 0.146)
O (0.384, 0.646, 0.673)
O (0.421, 0.696, 0.964)
O (0.442, 0.239, 0.706)
O (0.452, 0.146, 0.350)
O (0.461, 0.200, 0.921)
O (0.465, 0.994, 0.247)
O (0.493, 0.961, 0.754)
O (0.503, 0.778, 0.232)
O (0.525, 0.551, 0.814)
O (0.551, 0.814, 0.525)
O (0.553, 0.346, 0.246)
O (0.645, 0.953, 0.851)
O (0.646, 0.673, 0.384)
O (0.673, 0.384, 0.646)
O (0.696, 0.964, 0.421)
O (0.706, 0.442, 0.239)
O (0.734, 0.949, 0.205)
O (0.735, 0.278, 0.998)
O (0.747, 0.848, 0.052)
O (0.754, 0.493, 0.961)
O (0.778, 0.232, 0.503)
O (0.814, 0.525, 0.551)
O (0.848, 0.052, 0.747)
O (0.851, 0.645, 0.953)
O (0.881, 0.175, 0.144)
O (0.921, 0.461, 0.200)
O (0.949, 0.205, 0.734)
O (0.953, 0.851, 0.645)
O (0.961, 0.754, 0.493)
O (0.964, 0.421, 0.696)
O (0.994, 0.247, 0.465)
O (0.998, 0.735, 0.278)

Q: Which value of final energy does entry 3 give?
A: -6.487 eV/atom